Nd2MgIn | PBE | relaxed

## Properties
- E_tot: -3.800 eV/atom
- Calculated density: 6.09 g/cm³

Unit cell a=7.755 b=7.755 c=7.755 alpha=90.00 beta=90.00 gamma=90.00
Space group Fm-3m (No. 225)
Symmetry-distinct sites (fractional):
Nd (0.250, 0.250, 0.250)
Mg (0.000, 0.000, 0.000)
In (0.000, 0.000, 0.500)

---

MgIn2O4 | PBE | relaxed

## Properties
- E_tot: -5.721 eV/atom
- Excess energy over the best structure of this formula in the dataset: 6 meV/atom
- Calculated density: 5.68 g/cm³

Unit cell a=9.060 b=9.060 c=9.060 alpha=90.00 beta=90.00 gamma=90.00
Space group Fd-3m (No. 227, origin choice 2)
Symmetry-distinct sites (fractional):
Mg (0.125, 0.125, 0.125)
In (0.000, 0.000, 0.500)
O (0.006, 0.006, 0.744)

---

MgIn2O4 | PBE | relaxed

## Properties
- E_tot: -5.727 eV/atom
- Excess energy over the best structure of this formula in the dataset: 0 meV/atom
- Calculated density: 5.78 g/cm³

Unit cell a=6.328 b=6.438 c=8.964 alpha=90.00 beta=90.00 gamma=90.00
Space group Imma (No. 74)
Symmetry-distinct sites (fractional):
Mg (0.250, 0.250, 0.250)
In (0.000, 0.000, 0.000)
In (0.000, 0.250, 0.631)
O (0.000, 0.024, 0.243)
O (0.236, 0.250, 0.013)

---

MgIn2O4 | PBE | relaxed

## Properties
- E_tot: -5.724 eV/atom
- Excess energy over the best structure of this formula in the dataset: 3 meV/atom
- Calculated density: 5.76 g/cm³

Unit cell a=10.982 b=6.430 c=26.203 alpha=90.00 beta=98.11 gamma=90.00
Space group Cm (No. 8)
Symmetry-distinct sites (fractional):
Mg (0.000, 0.000, 0.000)
Mg (0.000, 0.000, 0.499)
Mg (0.097, 0.500, 0.799)
Mg (0.100, 0.500, 0.299)
Mg (0.200, 0.000, 0.100)
Mg (0.200, 0.000, 0.599)
Mg (0.300, 0.500, 0.399)
Mg (0.400, 0.000, 0.199)
Mg (0.400, 0.000, 0.699)
Mg (0.473, 0.000, 0.925)
In (0.028, 0.500, 0.073)
In (0.050, 0.250, 0.399)
In (0.072, 0.000, 0.725)
In (0.128, 0.000, 0.875)
In (0.150, 0.250, 0.199)
In (0.172, 0.500, 0.525)
In (0.228, 0.500, 0.674)
In (0.250, 0.250, 0.000)
In (0.272, 0.000, 0.325)
In (0.301, 0.500, 0.902)
In (0.328, 0.000, 0.474)
In (0.352, 0.245, 0.799)
In (0.372, 0.500, 0.126)
In (0.428, 0.500, 0.274)
In (0.450, 0.250, 0.599)
O (0.004, 0.274, 0.248)
O (0.037, 0.500, 0.649)
O (0.048, 0.500, 0.155)
O (0.052, 0.000, 0.644)
O (0.063, 0.000, 0.150)
O (0.096, 0.226, 0.551)
O (0.104, 0.226, 0.048)
O (0.136, 0.000, 0.449)
O (0.147, 0.000, 0.955)
O (0.152, 0.500, 0.444)
O (0.157, 0.500, 0.951)
O (0.196, 0.274, 0.351)
O (0.202, 0.271, 0.847)
O (0.236, 0.500, 0.249)
O (0.249, 0.500, 0.755)
O (0.252, 0.000, 0.244)
O (0.262, 0.000, 0.749)
O (0.296, 0.226, 0.151)
O (0.304, 0.226, 0.648)
O (0.336, 0.000, 0.050)
O (0.348, 0.000, 0.555)
O (0.352, 0.500, 0.044)
O (0.363, 0.500, 0.550)
O (0.398, 0.265, 0.952)
O (0.404, 0.274, 0.448)
O (0.439, 0.500, 0.847)
O (0.448, 0.500, 0.355)
O (0.451, 0.000, 0.845)
O (0.463, 0.000, 0.350)
O (0.496, 0.226, 0.751)

---

MgInPd2 | PBE | relaxed

## Properties
- E_tot: -4.350 eV/atom
- Calculated density: 8.53 g/cm³

Unit cell a=6.496 b=6.496 c=6.496 alpha=90.00 beta=90.00 gamma=90.00
Space group Fm-3m (No. 225)
Symmetry-distinct sites (fractional):
Mg (0.000, 0.000, 0.000)
In (0.000, 0.000, 0.500)
Pd (0.250, 0.250, 0.250)

---

MgInRh2 | PBE | relaxed

## Properties
- E_tot: -5.307 eV/atom
- Calculated density: 8.88 g/cm³

Unit cell a=6.366 b=6.366 c=6.366 alpha=90.00 beta=90.00 gamma=90.00
Space group Fm-3m (No. 225)
Symmetry-distinct sites (fractional):
Mg (0.000, 0.000, 0.000)
In (0.000, 0.000, 0.500)
Rh (0.250, 0.250, 0.250)

---

MgIn2S4 | PBE | relaxed

## Properties
- E_tot: -4.138 eV/atom
- Calculated density: 3.67 g/cm³

Unit cell a=8.942 b=8.942 c=8.640 alpha=90.00 beta=90.00 gamma=90.00
Space group I-42d (No. 122)
Symmetry-distinct sites (fractional):
Mg (0.000, 0.000, 0.000)
In (0.116, 0.250, 0.625)
S (0.001, 0.743, 0.887)

---

MgIn2S4 | PBE | relaxed

## Properties
- E_tot: -4.189 eV/atom
- Calculated density: 3.67 g/cm³

Unit cell a=6.845 b=7.910 c=12.973 alpha=80.97 beta=84.85 gamma=89.83
Space group P-1 (No. 2)
Symmetry-distinct sites (fractional):
Mg (0.133, 0.199, 0.201)
Mg (0.248, 0.375, 0.499)
In (0.139, 0.699, 0.202)
In (0.241, 0.875, 0.500)
In (0.370, 0.047, 0.800)
In (0.370, 0.555, 0.797)
S (0.099, 0.648, 0.395)
S (0.105, 0.155, 0.393)
S (0.184, 0.781, 0.877)
S (0.186, 0.281, 0.878)
S (0.310, 0.972, 0.123)
S (0.311, 0.467, 0.123)
S (0.399, 0.102, 0.605)
S (0.400, 0.597, 0.603)

---

MgIn2S4 | PBE | relaxed

## Properties
- E_tot: -4.126 eV/atom
- Calculated density: 3.89 g/cm³

Unit cell a=13.112 b=7.768 c=6.400 alpha=90.00 beta=90.00 gamma=90.00
Space group Pnma (No. 62)
Symmetry-distinct sites (fractional):
Mg (0.093, 0.250, 0.069)
In (0.000, 0.000, 0.500)
In (0.228, 0.750, 0.003)
S (0.074, 0.750, 0.754)
S (0.093, 0.250, 0.689)
S (0.166, 0.004, 0.256)

---

Mg9In26S48 | PBE | relaxed

## Properties
- E_tot: -4.166 eV/atom
- Calculated density: 4.08 g/cm³

Unit cell a=13.307 b=7.724 c=37.593 alpha=90.00 beta=90.04 gamma=90.00
Space group Cm (No. 8)
Symmetry-distinct sites (fractional):
Mg (0.000, 0.000, 0.000)
Mg (0.000, 0.000, 0.500)
Mg (0.000, 0.500, 0.250)
Mg (0.166, 0.000, 0.917)
Mg (0.167, 0.000, 0.417)
Mg (0.167, 0.500, 0.167)
Mg (0.333, 0.000, 0.333)
Mg (0.333, 0.500, 0.083)
Mg (0.335, 0.500, 0.583)
In (0.000, 0.500, 0.744)
In (0.004, 0.500, 0.439)
In (0.004, 0.500, 0.939)
In (0.084, 0.250, 0.333)
In (0.086, 0.242, 0.833)
In (0.161, 0.500, 0.668)
In (0.162, 0.000, 0.228)
In (0.168, 0.000, 0.606)
In (0.171, 0.000, 0.105)
In (0.250, 0.249, 0.000)
In (0.250, 0.250, 0.500)
In (0.329, 0.000, 0.833)
In (0.329, 0.500, 0.395)
In (0.333, 0.500, 0.896)
In (0.334, 0.500, 0.770)
In (0.338, 0.500, 0.272)
In (0.417, 0.250, 0.167)
In (0.420, 0.241, 0.668)
In (0.495, 0.000, 0.061)
In (0.496, 0.000, 0.560)
S (0.000, 0.500, 0.626)
S (0.000, 0.500, 0.871)
S (0.003, 0.500, 0.129)
S (0.011, 0.000, 0.875)
S (0.012, 0.000, 0.374)
S (0.078, 0.271, 0.207)
S (0.080, 0.260, 0.707)
S (0.089, 0.229, 0.459)
S (0.089, 0.229, 0.959)
S (0.155, 0.500, 0.292)
S (0.155, 0.500, 0.793)
S (0.164, 0.000, 0.037)
S (0.164, 0.000, 0.538)
S (0.167, 0.000, 0.796)
S (0.169, 0.000, 0.295)
S (0.178, 0.500, 0.041)
S (0.179, 0.500, 0.541)
S (0.245, 0.229, 0.373)
S (0.245, 0.233, 0.875)
S (0.255, 0.271, 0.126)
S (0.257, 0.271, 0.626)
S (0.322, 0.000, 0.459)
S (0.322, 0.000, 0.959)
S (0.331, 0.500, 0.204)
S (0.334, 0.500, 0.704)
S (0.336, 0.500, 0.462)
S (0.336, 0.500, 0.963)
S (0.339, 0.000, 0.706)
S (0.345, 0.000, 0.208)
S (0.411, 0.272, 0.540)
S (0.412, 0.271, 0.040)
S (0.422, 0.229, 0.293)
S (0.422, 0.233, 0.793)
S (0.487, 0.500, 0.626)
S (0.489, 0.500, 0.125)
S (0.497, 0.000, 0.371)

---

MgIn2S4 | PBE | relaxed

## Properties
- E_tot: -3.899 eV/atom
- Calculated density: 3.78 g/cm³

Unit cell a=8.326 b=7.285 c=11.082 alpha=90.00 beta=90.00 gamma=90.00
Space group Pnma (No. 62)
Symmetry-distinct sites (fractional):
Mg (0.192, 0.250, 0.080)
In (0.015, 0.750, 0.210)
In (0.093, 0.250, 0.483)
S (0.090, 0.524, 0.645)
S (0.099, 0.750, 0.993)
S (0.236, 0.750, 0.367)

---

MgIn2S4 | PBE | relaxed

## Properties
- E_tot: -4.084 eV/atom
- Calculated density: 4.34 g/cm³

Unit cell a=12.390 b=3.728 c=12.674 alpha=90.00 beta=90.00 gamma=90.00
Space group Pnma (No. 62)
Symmetry-distinct sites (fractional):
Mg (0.125, 0.250, 0.075)
In (0.109, 0.750, 0.413)
In (0.145, 0.750, 0.798)
S (0.025, 0.250, 0.891)
S (0.032, 0.750, 0.618)
S (0.215, 0.750, 0.235)
S (0.249, 0.750, 0.977)

---

MgIn2S4 | PBE | relaxed

## Properties
- E_tot: -4.181 eV/atom
- Calculated density: 3.92 g/cm³

Unit cell a=10.896 b=10.896 c=10.896 alpha=90.00 beta=90.00 gamma=90.00
Space group Fd-3m (No. 227, origin choice 2)
Symmetry-distinct sites (fractional):
Mg (0.125, 0.125, 0.125)
In (0.000, 0.000, 0.500)
S (0.007, 0.007, 0.743)

---

Number 1: energy of formation from the pure elements -0.3276 eV/atom. Number 2: energy of formation from the pure elements -2.2719 eV/atom. Number 3: energy of formation from the pure elements -2.2775 eV/atom. Number 4: energy of formation from the pure elements -2.2748 eV/atom. Number 5: energy of formation from the pure elements -0.6724 eV/atom. Number 6: energy of formation from the pure elements -0.5365 eV/atom. Number 7: energy of formation from the pure elements -1.0467 eV/atom. Number 8: energy of formation from the pure elements -1.0979 eV/atom. Number 9: energy of formation from the pure elements -1.0347 eV/atom. Number 10: energy of formation from the pure elements -1.0290 eV/atom. Number 11: energy of formation from the pure elements -0.8078 eV/atom. Number 12: energy of formation from the pure elements -0.9925 eV/atom. Number 13: energy of formation from the pure elements -1.0897 eV/atom.